A plane-wave DFT calculation with PBE with a Hubbard U was carried out for a relaxed BaMgMoF7 crystal. Values from VASP.

Geometry as Quantum ESPRESSO input:
```
&SYSTEM
  ibrav = 0, nat = 40, ntyp = 4
/
ATOMIC_SPECIES
Ba 137.33 Ba.upf
F 19.00 F.upf
Mg 24.30 Mg.upf
Mo 95.94 Mo.upf
CELL_PARAMETERS angstrom
10.2249 0.0000 0.0000
0.0000 5.7453 0.0000
0.0000 0.4881 9.9257
ATOMIC_POSITIONS angstrom
Ba 6.8735 1.7855 4.9965
F 2.8873 2.9104 2.4810
Mg 6.2104 4.0496 1.8870
F 9.6215 2.4635 6.2105
F 0.4218 2.3336 1.3027
Mg 9.1269 4.2936 6.8498
F 7.1140 4.2505 0.0787
F 4.6927 0.7846 3.7319
F 4.6355 5.0495 1.2304
F 5.5342 3.6557 3.6602
F 4.6907 2.5776 6.2655
Mg 1.0980 1.9397 3.0758
Mo 9.0872 4.7877 3.1244
F 5.5893 1.1839 8.6953
F 8.0451 5.9557 7.4484
F 5.5322 5.4488 6.1938
F 5.7158 2.2194 1.2476
F 2.9326 0.5217 7.4401
Mo 1.1377 1.4456 6.8013
F 7.2923 5.7117 2.4855
F 0.6034 3.7699 3.7152
F 2.1798 0.2777 2.4773
F 4.5090 4.0139 8.6780
F 9.8051 5.2047 1.2310
Ba 3.3514 4.4479 4.9291
Mg 4.0144 2.1838 8.0387
F 9.8031 3.8998 8.6230
F 8.2233 4.4945 5.0415
F 0.4198 1.0286 8.6947
F 3.1109 1.9829 9.8470
Mo 6.2501 5.0318 8.0872
F 9.7480 0.9398 3.7325
F 7.3376 3.3229 7.4447
F 7.9997 3.0789 2.4818
Ba 1.7611 4.6919 9.8920
Ba 8.4638 1.5415 0.0337
F 2.2252 3.1545 7.4438
F 2.0015 1.7389 4.8841
F 0.4769 5.2935 6.1932
Mo 3.9748 1.2016 1.8385
```

energy of formation: -3.51 eV/atom